# NiP (meta-GGA r2SCAN, optimized geometry)
# V	12.479	A^3/atom
# calculated total energy	-175.1	eV per cell
# M_tot	0.00	μB/atom
data_NiP
_cell_length_a 4.846
_cell_length_b 6.862
_cell_length_c 6.004
_cell_angle_alpha 90.00
_cell_angle_beta 90.00
_cell_angle_gamma 90.00
_symmetry_space_group_name_H-M 'P b c a'
_symmetry_Int_Tables_number 61
_symmetry_space_group_name_Hall '-P 2ac 2ab'
loop_
_atom_site_label
_atom_site_fract_x
_atom_site_fract_y
_atom_site_fract_z
Ni1 0.015 0.102 0.192
P1 0.173 0.112 0.556